Entry 1:
The following is a PBE with a Hubbard U calculation of crystalline Na3FeB2O6 at its relaxed geometry, from the Materials Project.

POSCAR file:
```
Na3FeB2O6
1.0
-9.5481 0.5471 -0.3896
-0.1592 -4.7827 -2.8147
-0.8087 -9.4434 6.5587
Na Fe B O
12 4 8 24
Direct
0.9679 0.5009 0.3447
0.6604 0.4602 0.3751
0.9887 0.9244 0.8877
0.1604 0.5398 0.1249
0.4887 0.0756 0.6123
0.4679 0.4991 0.1553
0.5321 0.5009 0.8447
0.5113 0.9244 0.3877
0.8396 0.4602 0.8751
0.0113 0.0756 0.1123
0.3396 0.5398 0.6249
0.0321 0.4991 0.6553
0.3210 0.9800 0.8748
0.8210 0.0200 0.6252
0.1790 0.9800 0.3748
0.6790 0.0200 0.1252
0.3118 0.4490 0.3820
0.6526 0.9774 0.8676
0.8118 0.5510 0.1180
0.1526 0.0226 0.6324
0.8474 0.9774 0.3676
0.1882 0.4490 0.8820
0.3474 0.0226 0.1324
0.6882 0.5510 0.6180
0.3246 0.8668 0.0668
0.6965 0.3259 0.5922
0.9362 0.6750 0.1134
0.2632 0.1116 0.6821
0.6883 0.6455 0.1503
0.0154 0.0895 0.6525
0.1883 0.3545 0.3497
0.5154 0.9105 0.8475
0.7632 0.8884 0.8179
0.4362 0.3250 0.3866
0.8246 0.1332 0.4332
0.1965 0.6741 0.9078
0.8035 0.3259 0.0922
0.1754 0.8668 0.5668
0.5638 0.6750 0.6134
0.2368 0.1116 0.1821
0.4846 0.0895 0.1525
0.8117 0.6455 0.6503
0.9846 0.9105 0.3475
0.3117 0.3545 0.8497
0.7368 0.8884 0.3179
0.0638 0.3250 0.8866
0.3035 0.6741 0.4078
0.6754 0.1332 0.9332
```

- MP2020-corrected energy (eV per atom) = -6.939
- formation enthalpy at 0 K (meV per atom) = -2315.3
- crystal system = monoclinic
- space group = P2_1/c (14)
- calculated total energy (eV/cell) = -307.56

***

Entry 2:
The following is a PBE with a Hubbard U calculation of crystalline NaFeBP2O11 at its relaxed geometry, from the Materials Project.

POSCAR file:
```
NaFeBP2O11
1.0
1.1723 7.3414 -5.7353
6.1000 -1.5321 6.9719
8.8393 -8.9981 -9.7113
Na Fe B P O
6 6 6 12 66
Direct
0.8073 0.1927 0.7500
0.3855 0.1927 0.4167
0.1927 0.8073 0.2500
0.6145 0.8073 0.9167
0.8073 0.6145 0.0833
0.1927 0.3855 0.5833
0.4484 0.5516 0.7500
0.1032 0.5516 0.4167
0.5516 0.4484 0.2500
0.8968 0.4484 0.9167
0.4484 0.8968 0.0833
0.5516 0.1032 0.5833
0.1557 0.8443 0.7500
0.6885 0.8443 0.4167
0.8443 0.1557 0.2500
0.3115 0.1557 0.9167
0.1557 0.3115 0.0833
0.8443 0.6885 0.5833
0.6089 0.7799 0.5845
0.1710 0.3911 0.2511
0.3911 0.2201 0.0845
0.8290 0.2201 0.0822
0.2201 0.8290 0.9178
0.8290 0.6089 0.7511
0.7799 0.6089 0.4155
0.1710 0.7799 0.5822
0.7799 0.1710 0.4178
0.2201 0.3911 0.9155
0.3911 0.1710 0.7489
0.6089 0.8290 0.2489
0.5781 0.7598 0.4882
0.1818 0.4219 0.1549
0.4219 0.2402 0.9882
0.8182 0.2402 0.1785
0.2402 0.8182 0.8215
0.8182 0.5781 0.6549
0.7598 0.5781 0.5118
0.1818 0.7598 0.6785
0.7598 0.1818 0.3215
0.2402 0.4219 0.0118
0.4219 0.1818 0.8451
0.5781 0.8182 0.3451
0.8565 0.8565 0.0000
0.0000 0.1435 0.6667
0.1435 0.1435 0.5000
0.1435 0.0000 0.3333
0.0000 0.8565 0.1667
0.8565 0.0000 0.8333
0.3790 0.5249 0.8732
0.1460 0.6210 0.5399
0.6210 0.4751 0.3732
0.8540 0.4751 0.7935
0.4751 0.8540 0.2065
0.8540 0.3790 0.0399
0.5249 0.3790 0.1268
0.1460 0.5249 0.2935
0.5249 0.1460 0.7065
0.4751 0.6210 0.6268
0.6210 0.1460 0.4601
0.3790 0.8540 0.9601
0.6112 0.9337 0.6179
0.3225 0.3888 0.2846
0.3888 0.0663 0.1179
0.6775 0.0663 0.0487
0.0663 0.6775 0.9513
0.6775 0.6112 0.7846
0.9337 0.6112 0.3821
0.3225 0.9337 0.5487
0.9337 0.3225 0.4513
0.0663 0.3888 0.8821
0.3888 0.3225 0.7154
0.6112 0.6775 0.2154
0.7812 0.8007 0.6032
0.0195 0.2188 0.2698
0.2188 0.1993 0.1032
0.9805 0.1993 0.0635
0.1993 0.9805 0.9365
0.9805 0.7812 0.7698
0.8007 0.7812 0.3968
0.0195 0.8007 0.5635
0.8007 0.0195 0.4365
0.1993 0.2188 0.8968
0.2188 0.0195 0.7302
0.7812 0.9805 0.2302
0.7229 0.2118 0.8914
0.4888 0.2771 0.5580
0.2771 0.7882 0.3914
0.5112 0.7882 0.7753
0.7882 0.5112 0.2247
0.5112 0.7229 0.0580
0.2118 0.7229 0.1086
0.4888 0.2118 0.2753
0.2118 0.4888 0.7247
0.7882 0.2771 0.6086
0.2771 0.4888 0.4420
0.7229 0.5112 0.9420
```

- MP2020-corrected energy (eV per atom) = -6.919
- formation enthalpy at 0 K (meV per atom) = -1811.1
- crystal system = hexagonal
- space group = P6_122 (178)
- calculated total energy (eV/cell) = -605.34

***

Entry 3:
The following is a PBE with a Hubbard U calculation of crystalline Na2FeBPO7 at its relaxed geometry, from the Materials Project.

POSCAR file:
```
Na2FeBPO7
1.0
9.0797 0.0000 -0.0075
0.0000 6.6445 0.0000
0.1284 0.0000 5.2856
Na Fe B P O
4 2 2 2 14
Direct
0.2337 0.4965 0.2383
0.2337 0.0035 0.2383
0.7663 0.5035 0.7617
0.7663 0.9965 0.7617
0.3499 0.7500 0.7793
0.6501 0.2500 0.2207
0.0813 0.7500 0.7269
0.9187 0.2500 0.2731
0.4277 0.2500 0.7225
0.5723 0.7500 0.2775
0.0648 0.2500 0.2997
0.1469 0.7500 0.9591
0.1862 0.7500 0.5320
0.3366 0.0603 0.7899
0.3366 0.4397 0.7899
0.4251 0.7500 0.1319
0.4658 0.2500 0.4307
0.5342 0.7500 0.5693
0.5749 0.2500 0.8681
0.6634 0.5603 0.2101
0.6634 0.9397 0.2101
0.8138 0.2500 0.4680
0.8531 0.2500 0.0409
0.9352 0.7500 0.7003
```

- MP2020-corrected energy (eV per atom) = -7.138
- formation enthalpy at 0 K (meV per atom) = -2317.4
- crystal system = monoclinic
- space group = P2_1/m (11)
- calculated total energy (eV/cell) = -157.17

***

Entry 4:
The following is a PBE with a Hubbard U calculation of crystalline Na6Fe2B4PO16 at its relaxed geometry, from the Materials Project.

POSCAR file:
```
Na6Fe2B4PO16
1.0
0.0000 7.0643 7.0643
7.0643 0.0000 7.0643
7.0643 7.0643 0.0000
Na Fe B P O
12 4 8 2 32
Direct
0.5374 0.9626 0.9626
0.5374 0.5374 0.9626
0.9626 0.5374 0.9626
0.5374 0.9626 0.5374
0.2874 0.7126 0.7126
0.2874 0.2874 0.7126
0.9626 0.9626 0.5374
0.9626 0.5374 0.5374
0.7126 0.2874 0.7126
0.2874 0.7126 0.2874
0.7126 0.2874 0.2874
0.7126 0.7126 0.2874
0.6250 0.1250 0.1250
0.1250 0.6250 0.1250
0.1250 0.1250 0.1250
0.1250 0.1250 0.6250
0.3377 0.3377 0.9870
0.3377 0.3377 0.3377
0.3377 0.9870 0.3377
0.9870 0.3377 0.3377
0.2630 0.9123 0.9123
0.9123 0.2630 0.9123
0.9123 0.9123 0.9123
0.9123 0.9123 0.2630
0.5000 0.5000 0.5000
0.7500 0.7500 0.7500
0.5635 0.5635 0.3096
0.5635 0.5635 0.5635
0.5635 0.3096 0.5635
0.3096 0.5635 0.5635
0.4888 0.2168 0.9831
0.3113 0.4888 0.9831
0.4888 0.3113 0.2168
0.2168 0.3113 0.9831
0.4888 0.9831 0.3113
0.3113 0.9831 0.2168
0.2168 0.4888 0.3113
0.3113 0.2168 0.4888
0.9831 0.4888 0.2168
0.2168 0.9831 0.4888
0.9831 0.2168 0.3113
0.2669 0.9387 0.7612
0.9831 0.3113 0.4888
0.2669 0.0332 0.9387
0.0332 0.2669 0.7612
0.2669 0.7612 0.0332
0.9387 0.0332 0.7612
0.0332 0.7612 0.9387
0.9387 0.2669 0.0332
0.7612 0.2669 0.9387
0.0332 0.9387 0.2669
0.7612 0.9387 0.0332
0.9387 0.7612 0.2669
0.7612 0.0332 0.2669
0.9404 0.6865 0.6865
0.6865 0.9404 0.6865
0.6865 0.6865 0.6865
0.6865 0.6865 0.9404
```

- MP2020-corrected energy (eV per atom) = -6.972
- formation enthalpy at 0 K (meV per atom) = -2276.5
- crystal system = cubic
- space group = Fd-3 (203)
- calculated total energy (eV/cell) = -373.38